Record 1
Density functional theory data (r²SCAN) for an optimized crystal structure of Sc4Mn4Si7.

Values from the calculation:
total magnetization: 8.33 μB per formula unit
energy of formation from the pure elements: -0.630 eV per atom
DFT total energy: -350.377 eV for the cell shown

a = 5.176 Å, b = 9.681 Å, c = 9.680 Å
α = 85.90°, β = 74.50°, γ = 74.50°
Fractional coordinates of all 30 atoms:
1 Sc 0.195 0.805 0.805
2 Mn 0.899 0.202 0.500
3 Si 0.794 0.412 0.000
4 Mn 0.399 0.500 0.203
5 Si 0.000 0.411 0.589
6 Mn 0.101 0.798 0.500
7 Sc 0.363 0.000 0.275
8 Sc 0.805 0.195 0.195
9 Si 0.248 0.000 0.000
10 Si 0.410 0.589 0.589
11 Si 0.206 0.293 0.294
12 Mn 0.899 0.500 0.202
13 Sc 0.637 0.000 0.725
14 Si 0.206 0.000 0.588
15 Si 0.794 0.707 0.706
16 Sc 0.000 0.805 0.195
17 Si 0.500 0.706 0.294
18 Mn 0.399 0.203 0.500
19 Mn 0.101 0.500 0.798
20 Si 0.206 0.588 0.000
21 Sc 0.637 0.725 0.000
22 Mn 0.601 0.798 0.500
23 Si 0.000 0.589 0.411
24 Si 0.752 0.000 0.000
25 Si 0.590 0.411 0.411
26 Sc 0.000 0.195 0.805
27 Sc 0.363 0.275 0.000
28 Si 0.794 0.000 0.412
29 Mn 0.601 0.500 0.797
30 Si 0.500 0.294 0.706

Record 2
Density functional theory data (r²SCAN) for an optimized crystal structure of Sc6MnTe2.

Values from the calculation:
total magnetization: 1.02 μB per formula unit
energy of formation from the pure elements: -0.672 eV per atom
DFT total energy: -139.953 eV for the cell shown

a = 7.711 Å, b = 7.711 Å, c = 3.955 Å
α = 90.00°, β = 90.00°, γ = 120.00°
Fractional coordinates of all 9 atoms:
1 Sc 0.761 0.761 0.500
2 Sc 0.000 0.239 0.500
3 Sc 0.612 0.000 0.000
4 Te 0.667 0.333 0.500
5 Sc 0.239 0.000 0.500
6 Sc 0.388 0.388 0.000
7 Te 0.333 0.667 0.500
8 Mn 0.000 0.000 0.000
9 Sc 0.000 0.612 0.000

Record 3
Density functional theory data (r²SCAN) for an optimized crystal structure of Mn2SiSe4.

Values from the calculation:
total magnetization: 10.00 μB per formula unit
energy of formation from the pure elements: -0.783 eV per atom
DFT total energy: -403.458 eV for the cell shown

a = 6.247 Å, b = 7.801 Å, c = 13.350 Å
α = 90.00°, β = 90.00°, γ = 90.00°
Fractional coordinates of all 28 atoms:
1 Se 0.733 0.250 0.592
2 Se 0.758 0.750 0.568
3 Se 0.251 0.020 0.668
4 Se 0.749 0.520 0.332
5 Se 0.242 0.250 0.432
6 Se 0.233 0.750 0.908
7 Se 0.767 0.250 0.092
8 Mn 0.494 0.750 0.233
9 Se 0.749 0.980 0.332
10 Mn 0.500 0.000 0.500
11 Mn 0.506 0.250 0.767
12 Se 0.742 0.750 0.068
13 Se 0.267 0.750 0.408
14 Se 0.249 0.020 0.168
15 Mn 0.500 0.500 0.500
16 Mn 0.000 0.500 0.000
17 Si 0.594 0.750 0.911
18 Mn 0.000 0.000 0.000
19 Se 0.258 0.250 0.932
20 Si 0.906 0.750 0.411
21 Mn 0.006 0.750 0.733
22 Se 0.249 0.480 0.168
23 Si 0.094 0.250 0.589
24 Se 0.751 0.520 0.832
25 Se 0.751 0.980 0.832
26 Si 0.406 0.250 0.089
27 Mn 0.994 0.250 0.267
28 Se 0.251 0.480 0.668

Record 4
Density functional theory data (r²SCAN) for an optimized crystal structure of ThMnSe3.

Values from the calculation:
total magnetization: 5.00 μB per formula unit
energy of formation from the pure elements: -1.616 eV per atom
DFT total energy: -278.351 eV for the cell shown

a = 4.052 Å, b = 6.714 Å, c = 9.347 Å
α = 90.00°, β = 90.00°, γ = 107.57°
Fractional coordinates of all 10 atoms:
1 Se 0.083 0.165 0.750
2 Th 0.251 0.501 0.250
3 Mn 0.000 0.000 0.500
4 Mn 0.000 0.000 0.000
5 Se 0.644 0.287 0.059
6 Se 0.356 0.713 0.941
7 Se 0.644 0.287 0.441
8 Se 0.356 0.713 0.559
9 Se 0.917 0.835 0.250
10 Th 0.749 0.499 0.750

Record 5
Density functional theory data (r²SCAN) for an optimized crystal structure of Mn2ZnSe4.

Values from the calculation:
total magnetization: 8.00 μB per formula unit
energy of formation from the pure elements: -0.810 eV per atom
DFT total energy: -202.386 eV for the cell shown

a = 7.540 Å, b = 7.540 Å, c = 7.540 Å
α = 60.00°, β = 60.00°, γ = 60.00°
Fractional coordinates of all 14 atoms:
1 Se 0.383 0.383 0.383
2 Zn 0.000 0.000 0.000
3 Mn 0.625 0.625 0.125
4 Mn 0.625 0.625 0.625
5 Se 0.398 0.867 0.867
6 Se 0.867 0.398 0.867
7 Mn 0.625 0.125 0.625
8 Mn 0.125 0.625 0.625
9 Zn 0.250 0.250 0.250
10 Se 0.852 0.383 0.383
11 Se 0.383 0.383 0.852
12 Se 0.867 0.867 0.398
13 Se 0.383 0.852 0.383
14 Se 0.867 0.867 0.867

Record 6
Density functional theory data (r²SCAN) for an optimized crystal structure of MnZn4Se5.

Values from the calculation:
total magnetization: 5.00 μB per formula unit
energy of formation from the pure elements: -0.868 eV per atom
DFT total energy: -130.564 eV for the cell shown

a = 6.989 Å, b = 6.989 Å, c = 9.901 Å
α = 61.98°, β = 61.98°, γ = 33.53°
Fractional coordinates of all 10 atoms:
1 Se 0.799 0.799 0.552
2 Se 0.205 0.205 0.949
3 Zn 0.601 0.601 0.595
4 Se 0.598 0.598 0.349
5 Se 0.003 0.003 0.742
6 Se 0.395 0.395 0.159
7 Zn 0.398 0.398 0.405
8 Mn 0.001 0.001 0.999
9 Zn 0.802 0.802 0.799
10 Zn 0.198 0.198 0.202

Record 7
Density functional theory data (r²SCAN) for an optimized crystal structure of TaMnSi.

Values from the calculation:
total magnetization: 0.70 μB per formula unit
energy of formation from the pure elements: -0.588 eV per atom
DFT total energy: -442.885 eV for the cell shown

a = 7.341 Å, b = 7.341 Å, c = 7.341 Å
α = 127.83°, β = 122.60°, γ = 81.25°
Fractional coordinates of all 18 atoms:
1 Si 0.667 0.164 0.498
2 Ta 0.043 0.084 0.541
3 Ta 0.750 0.907 0.657
4 Si 0.167 0.164 0.998
5 Si 0.833 0.831 0.998
6 Ta 0.957 0.498 0.041
7 Ta 0.544 0.085 0.041
8 Mn 0.875 0.497 0.621
9 Mn 0.624 0.746 0.121
10 Ta 0.456 0.498 0.541
11 Mn 0.000 0.247 0.247
12 Si 0.750 0.498 0.247
13 Mn 0.376 0.497 0.122
14 Ta 0.250 0.907 0.157
15 Si 0.250 0.497 0.747
16 Mn 0.500 0.247 0.747
17 Mn 0.125 0.746 0.622
18 Si 0.333 0.831 0.498

Record 8
Density functional theory data (r²SCAN) for an optimized crystal structure of ThMn2Si2.

Values from the calculation:
total magnetization: 4.36 μB per formula unit
energy of formation from the pure elements: -0.637 eV per atom
DFT total energy: -123.573 eV for the cell shown

a = 3.975 Å, b = 3.975 Å, c = 5.982 Å
α = 109.41°, β = 109.41°, γ = 90.00°
Fractional coordinates of all 5 atoms:
1 Mn 0.250 0.750 0.500
2 Mn 0.750 0.250 0.500
3 Si 0.621 0.621 0.241
4 Th 0.000 0.000 0.000
5 Si 0.379 0.379 0.759

Record 9
Density functional theory data (r²SCAN) for an optimized crystal structure of ThUMn4Si4.

Values from the calculation:
total magnetization: 6.38 μB per formula unit
energy of formation from the pure elements: -0.578 eV per atom
DFT total energy: -253.028 eV for the cell shown

a = 3.951 Å, b = 3.951 Å, c = 10.407 Å
α = 90.00°, β = 90.00°, γ = 90.00°
Fractional coordinates of all 10 atoms:
1 Mn 0.000 0.500 0.743
2 Si 0.500 0.500 0.878
3 Si 0.000 0.000 0.615
4 Mn 0.500 0.000 0.743
5 Si 0.500 0.500 0.122
6 U 0.500 0.500 0.500
7 Mn 0.500 0.000 0.257
8 Si 0.000 0.000 0.385
9 Th 0.000 0.000 0.000
10 Mn 0.000 0.500 0.257

Record 10
Density functional theory data (r²SCAN) for an optimized crystal structure of TmMn2Si2.

Values from the calculation:
total magnetization: 4.44 μB per formula unit
energy of formation from the pure elements: -0.674 eV per atom
DFT total energy: -85.405 eV for the cell shown

a = 5.869 Å, b = 5.869 Å, c = 5.869 Å
α = 141.76°, β = 141.76°, γ = 55.18°
Fractional coordinates of all 5 atoms:
1 Si 0.616 0.616 0.000
2 Mn 0.750 0.250 0.500
3 Si 0.384 0.384 0.000
4 Mn 0.250 0.750 0.500
5 Tm 0.000 0.000 0.000

Record 11
Density functional theory data (r²SCAN) for an optimized crystal structure of Tm2Mn3Si5.

Values from the calculation:
total magnetization: 1.55 μB per formula unit
energy of formation from the pure elements: -0.620 eV per atom
DFT total energy: -657.451 eV for the cell shown

a = 10.542 Å, b = 10.542 Å, c = 5.392 Å
α = 90.00°, β = 90.00°, γ = 90.00°
Fractional coordinates of all 40 atoms:
1 Mn 0.640 0.618 0.000
2 Tm 0.925 0.238 0.000
3 Si 0.176 0.324 0.750
4 Si 0.684 0.977 0.500
5 Si 0.000 0.000 0.237
6 Si 0.824 0.676 0.750
7 Mn 0.860 0.118 0.500
8 Si 0.816 0.477 0.000
9 Si 0.523 0.816 0.000
10 Mn 0.882 0.860 0.500
11 Mn 0.618 0.360 0.000
12 Si 0.676 0.176 0.250
13 Si 0.977 0.316 0.500
14 Si 0.023 0.684 0.500
15 Si 0.500 0.500 0.263
16 Si 0.000 0.000 0.763
17 Mn 0.500 0.000 0.750
18 Tm 0.575 0.738 0.500
19 Mn 0.382 0.640 0.000
20 Si 0.176 0.324 0.250
21 Mn 0.360 0.382 0.000
22 Tm 0.738 0.425 0.500
23 Tm 0.762 0.925 0.000
24 Si 0.676 0.176 0.750
25 Tm 0.075 0.762 0.000
26 Tm 0.262 0.575 0.500
27 Mn 0.118 0.140 0.500
28 Mn 0.000 0.500 0.750
29 Mn 0.000 0.500 0.250
30 Tm 0.425 0.262 0.500
31 Si 0.500 0.500 0.737
32 Si 0.316 0.023 0.500
33 Mn 0.500 0.000 0.250
34 Si 0.184 0.523 0.000
35 Mn 0.140 0.882 0.500
36 Tm 0.238 0.075 0.000
37 Si 0.824 0.676 0.250
38 Si 0.477 0.184 0.000
39 Si 0.324 0.824 0.250
40 Si 0.324 0.824 0.750

Record 12
Density functional theory data (r²SCAN) for an optimized crystal structure of U2Mn3Si5.

Values from the calculation:
total magnetization: 1.53 μB per formula unit
energy of formation from the pure elements: -0.469 eV per atom
DFT total energy: -1009.962 eV for the cell shown

a = 10.580 Å, b = 10.579 Å, c = 5.391 Å
α = 90.00°, β = 90.00°, γ = 90.00°
Fractional coordinates of all 40 atoms:
1 Mn 0.859 0.123 0.500
2 Si 0.176 0.324 0.750
3 Si 0.020 0.685 0.500
4 Mn 0.623 0.359 0.000
5 U 0.735 0.428 0.500
6 Si 0.500 0.500 0.761
7 U 0.928 0.235 0.000
8 Mn 0.641 0.623 0.000
9 U 0.428 0.265 0.500
10 Si 0.824 0.676 0.750
11 Si 0.000 0.000 0.261
12 U 0.235 0.072 0.000
13 Mn 0.000 0.500 0.250
14 Si 0.815 0.479 0.000
15 Mn 0.500 0.000 0.750
16 Mn 0.359 0.377 0.000
17 Si 0.176 0.324 0.250
18 Si 0.185 0.521 0.000
19 Mn 0.000 0.500 0.750
20 U 0.765 0.928 0.000
21 Mn 0.123 0.141 0.500
22 Si 0.676 0.176 0.750
23 Si 0.500 0.500 0.239
24 Mn 0.377 0.641 0.000
25 Si 0.324 0.824 0.750
26 U 0.265 0.572 0.500
27 Si 0.000 0.000 0.739
28 Si 0.315 0.021 0.500
29 Si 0.676 0.176 0.250
30 U 0.072 0.765 0.000
31 U 0.572 0.735 0.500
32 Mn 0.141 0.877 0.500
33 Mn 0.877 0.859 0.500
34 Si 0.521 0.815 0.000
35 Si 0.685 0.979 0.500
36 Si 0.980 0.315 0.500
37 Si 0.324 0.824 0.250
38 Si 0.479 0.185 0.000
39 Mn 0.500 0.000 0.250
40 Si 0.824 0.676 0.250

Record 13
Density functional theory data (r²SCAN) for an optimized crystal structure of Mn3SiW2.

Values from the calculation:
total magnetization: 5.09 μB per formula unit
energy of formation from the pure elements: -0.185 eV per atom
DFT total energy: -313.343 eV for the cell shown

a = 4.757 Å, b = 4.757 Å, c = 7.747 Å
α = 90.00°, β = 90.00°, γ = 120.00°
Fractional coordinates of all 12 atoms:
1 Mn 0.658 0.829 0.250
2 Mn 0.829 0.171 0.750
3 W 0.333 0.667 0.564
4 Mn 0.342 0.171 0.750
5 Mn 0.171 0.342 0.250
6 Mn 0.171 0.829 0.250
7 W 0.667 0.333 0.064
8 Mn 0.829 0.658 0.750
9 W 0.333 0.667 0.936
10 Si 0.000 0.000 0.000
11 W 0.667 0.333 0.436
12 Si 0.000 0.000 0.500

Record 14
Density functional theory data (r²SCAN) for an optimized crystal structure of YMnSi.

Values from the calculation:
total magnetization: 1.98 μB per formula unit
energy of formation from the pure elements: -0.643 eV per atom
DFT total energy: -91.398 eV for the cell shown

a = 3.900 Å, b = 3.900 Å, c = 7.299 Å
α = 90.00°, β = 90.00°, γ = 90.00°
Fractional coordinates of all 6 atoms:
1 Mn 0.500 0.500 0.000
2 Si 0.000 0.500 0.797
3 Mn 0.000 0.000 0.000
4 Y 0.000 0.500 0.335
5 Y 0.500 0.000 0.665
6 Si 0.500 0.000 0.203

Record 15
Density functional theory data (r²SCAN) for an optimized crystal structure of Y2Mn3Si5.

Values from the calculation:
total magnetization: 1.50 μB per formula unit
energy of formation from the pure elements: -0.616 eV per atom
DFT total energy: -538.838 eV for the cell shown

a = 10.633 Å, b = 10.633 Å, c = 5.479 Å
α = 90.00°, β = 90.00°, γ = 90.00°
Fractional coordinates of all 40 atoms:
1 Si 0.000 0.000 0.242
2 Mn 0.618 0.360 0.000
3 Si 0.816 0.478 0.000
4 Mn 0.118 0.140 0.500
5 Y 0.738 0.425 0.500
6 Si 0.500 0.500 0.742
7 Mn 0.000 0.500 0.750
8 Mn 0.640 0.618 0.000
9 Si 0.675 0.175 0.250
10 Si 0.825 0.675 0.250
11 Si 0.325 0.825 0.250
12 Si 0.184 0.522 0.000
13 Mn 0.882 0.860 0.500
14 Si 0.478 0.184 0.000
15 Y 0.762 0.925 0.000
16 Si 0.522 0.816 0.000
17 Si 0.325 0.825 0.750
18 Mn 0.360 0.382 0.000
19 Si 0.000 0.000 0.758
20 Si 0.978 0.316 0.500
21 Y 0.075 0.762 0.000
22 Si 0.316 0.022 0.500
23 Y 0.262 0.575 0.500
24 Mn 0.500 0.000 0.750
25 Si 0.675 0.175 0.750
26 Mn 0.000 0.500 0.250
27 Si 0.175 0.325 0.250
28 Si 0.684 0.978 0.500
29 Si 0.825 0.675 0.750
30 Si 0.022 0.684 0.500
31 Y 0.238 0.075 0.000
32 Si 0.175 0.325 0.750
33 Y 0.575 0.738 0.500
34 Y 0.925 0.238 0.000
35 Mn 0.500 0.000 0.250
36 Mn 0.382 0.640 0.000
37 Mn 0.860 0.118 0.500
38 Mn 0.140 0.882 0.500
39 Y 0.425 0.262 0.500
40 Si 0.500 0.500 0.258

Record 16
Density functional theory data (r²SCAN) for an optimized crystal structure of SmMn6Sn6.

Values from the calculation:
total magnetization: 21.38 μB per formula unit
energy of formation from the pure elements: -0.267 eV per atom
DFT total energy: -269.782 eV for the cell shown

a = 5.719 Å, b = 5.719 Å, c = 9.186 Å
α = 90.00°, β = 90.00°, γ = 120.00°
Fractional coordinates of all 13 atoms:
1 Sn 0.667 0.333 0.000
2 Mn 0.500 0.000 0.247
3 Sn 0.000 0.000 0.337
4 Sm 0.000 0.000 0.000
5 Sn 0.667 0.333 0.500
6 Mn 0.500 0.500 0.247
7 Mn 0.000 0.500 0.753
8 Mn 0.500 0.000 0.753
9 Mn 0.000 0.500 0.247
10 Sn 0.333 0.667 0.000
11 Sn 0.333 0.667 0.500
12 Sn 0.000 0.000 0.663
13 Mn 0.500 0.500 0.753